GGA+U Li3FeP2O8, relaxed; crystal system = monoclinic; DFT total energy = -369.8 eV per cell; ρ = 2.56 Mg/m³; energy of formation = -2.54 eV/atom
1.0
10.4935 0.0000 0.0000
0.0000 8.2238 0.0000
0.0000 2.0087 8.0196
O Li P Fe
32 12 8 4
direct
0.0876 0.3846 0.5911 O
0.3917 0.3526 0.1110 O
0.2987 0.7719 0.9981 O
0.6566 0.9096 0.8004 O
0.3434 0.9096 0.3004 O
0.3406 0.4113 0.7996 O
0.1025 0.6651 0.8745 O
0.8013 0.7336 0.0219 O
0.1880 0.2401 0.0113 O
0.1463 0.5713 0.1884 O
0.3924 0.6019 0.4184 O
0.0745 0.1900 0.3945 O
0.8537 0.5713 0.6884 O
0.6083 0.3526 0.6110 O
0.8975 0.6651 0.3745 O
0.1384 0.0762 0.6929 O
0.6594 0.4113 0.2996 O
0.2907 0.2724 0.4845 O
0.9226 0.8713 0.5540 O
0.8120 0.2401 0.5113 O
0.8616 0.0762 0.1929 O
0.6076 0.6019 0.9184 O
0.5819 0.8141 0.0976 O
0.7093 0.2724 0.9845 O
0.1987 0.7336 0.5219 O
0.0774 0.8713 0.0540 O
0.4181 0.8141 0.5976 O
0.3997 0.1193 0.9547 O
0.6003 0.1193 0.4547 O
0.7014 0.7719 0.4981 O
0.9255 0.1900 0.8945 O
0.9124 0.3846 0.0911 O
0.0918 0.3519 0.1622 Li
0.5758 0.3969 0.0974 Li
0.3349 0.4574 0.2814 Li
0.1032 0.8476 0.6559 Li
0.1910 0.5356 0.7233 Li
0.8090 0.5356 0.2233 Li
0.8968 0.8476 0.1559 Li
0.9138 0.6023 0.9052 Li
0.6651 0.4574 0.7814 Li
0.4242 0.3969 0.5974 Li
0.0862 0.6023 0.4052 Li
0.9082 0.3519 0.6622 Li
0.3370 0.2872 0.9694 P
0.3387 0.7594 0.4592 P
0.8410 0.7141 0.5291 P
0.8447 0.2371 0.0398 P
0.6630 0.2872 0.4694 P
0.1590 0.7141 0.0291 P
0.6613 0.7594 0.9592 P
0.1553 0.2371 0.5398 P
0.5834 0.9012 0.5946 Fe
0.4166 0.9012 0.0946 Fe
0.0930 0.0943 0.9130 Fe
0.9070 0.0943 0.4130 Fe

GGA+U Sr2YTlW2O7, relaxed; crystal system = orthorhombic; DFT total energy = -87.6 eV per cell; ρ = 7.34 Mg/m³; energy of formation = -2.19 eV/atom
1.0
2.8351 -2.9861 0.0000
2.8351 2.9861 0.0000
0.0000 0.0000 12.6605
O Sr W Y Tl
7 2 2 1 1
direct
0.4987 0.9888 0.1176 O
0.5170 0.4830 0.5000 O
0.0112 0.5013 0.1176 O
0.9333 0.0667 0.7105 O
0.0112 0.5013 0.8824 O
0.9333 0.0667 0.2895 O
0.4987 0.9888 0.8824 O
0.5190 0.4810 0.6831 Sr
0.5190 0.4810 0.3169 Sr
0.0079 0.9921 0.8676 W
0.0079 0.9921 0.1324 W
0.5371 0.4629 0.0000 Y
0.0127 0.9873 0.5000 Tl

GGA+U MgCoP2O7, relaxed; DFT total energy = -305.6 eV per cell; ρ = 3.43 Mg/m³; energy of formation = -2.61 eV/atom
1.0
-5.0896 -1.0286 2.1582
0.8641 -9.6455 3.5220
4.6662 1.7730 7.6697
O Co P Mg
28 4 8 4
direct
0.6171 0.1853 0.1445 O
0.3826 0.3148 0.3555 O
0.0506 0.8347 0.6191 O
0.0717 0.5379 0.2520 O
0.8885 0.2049 0.8974 O
0.9494 0.6653 0.8809 O
0.0506 0.3348 0.1191 O
0.0716 0.0378 0.7521 O
0.9283 0.4622 0.7479 O
0.6137 0.0379 0.3949 O
0.6136 0.5379 0.8948 O
0.3524 0.3077 0.8603 O
0.3830 0.8148 0.8556 O
0.6476 0.6923 0.1396 O
0.2966 0.4974 0.6326 O
0.6171 0.6853 0.6445 O
0.6471 0.1922 0.6395 O
0.3864 0.4621 0.1052 O
0.1110 0.2951 0.6026 O
0.1117 0.7951 0.1028 O
0.7033 0.0024 0.8672 O
0.7035 0.5024 0.3673 O
0.9284 0.9622 0.2478 O
0.8886 0.7050 0.3972 O
0.9492 0.1654 0.3808 O
0.3525 0.8077 0.3604 O
0.2968 0.9975 0.1326 O
0.3863 0.9621 0.6052 O
0.2500 0.1859 0.0245 Co
0.2503 0.6860 0.5246 Co
0.7505 0.3139 0.4758 Co
0.7503 0.8139 0.9758 Co
0.2284 0.9063 0.7064 P
0.1869 0.3899 0.7059 P
0.8128 0.1102 0.7940 P
0.7716 0.0937 0.2936 P
0.1872 0.8899 0.2060 P
0.2284 0.4064 0.2063 P
0.7716 0.5937 0.7937 P
0.8130 0.6101 0.2940 P
0.6661 0.3425 0.0002 Mg
0.3336 0.1575 0.4998 Mg
0.3339 0.6575 0.9998 Mg
0.6662 0.8425 0.5002 Mg

GGA+U Li9Mn2Co5O16, relaxed; crystal system = triclinic; DFT total energy = -185.6 eV per cell; ρ = 4.16 Mg/m³; energy of formation = -1.81 eV/atom
1.0
-2.1897 1.2741 -1.5692
-5.3461 0.6573 8.4507
7.1606 7.8640 -1.4067
O Co Mn Li
16 5 2 9
direct
0.0499 0.7089 0.1146 O
0.1893 0.1739 0.3818 O
0.0445 0.2140 0.1129 O
0.3057 0.0695 0.6150 O
0.6023 0.9591 0.1183 O
0.7204 0.4148 0.3956 O
0.9563 0.7875 0.8858 O
0.6494 0.9005 0.3854 O
0.8294 0.8343 0.6105 O
0.5487 0.4623 0.1166 O
0.3477 0.5886 0.6130 O
0.1666 0.6688 0.3925 O
0.7982 0.3485 0.6092 O
0.4487 0.5373 0.8838 O
0.4003 0.0396 0.8831 O
0.9420 0.2893 0.8818 O
0.4971 0.2512 0.9987 Co
0.5029 0.7483 0.0010 Co
0.2418 0.8843 0.5007 Co
0.7624 0.6279 0.5030 Co
0.9985 0.5002 0.9991 Co
0.2583 0.3699 0.4999 Mn
0.0018 0.0001 0.0011 Mn
0.8711 0.5651 0.7497 Li
0.1342 0.9467 0.2611 Li
0.8659 0.0588 0.7466 Li
0.6244 0.6898 0.2529 Li
0.1139 0.4377 0.2455 Li
0.6433 0.1837 0.2579 Li
0.3701 0.8110 0.7470 Li
0.3829 0.3060 0.7457 Li
0.7320 0.1223 0.4904 Li

GGA+U BaDyFe4O7, relaxed; crystal system = cubic; DFT total energy = -87.9 eV per cell; ρ = 5.61 Mg/m³; energy of formation = -2.06 eV/atom
1.0
0.5967 -2.3244 5.9658
0.2370 4.0243 5.0098
-4.9495 0.3357 4.0913
Fe Dy Ba O
4 1 1 7
direct
0.3782 0.8655 0.3782 Fe
0.8655 0.3782 0.3782 Fe
0.3782 0.3782 0.8655 Fe
0.3782 0.3782 0.3782 Fe
0.0000 0.0000 0.0000 Dy
0.7500 0.7500 0.7500 Ba
0.2481 0.2481 0.7519 O
0.7519 0.7519 0.2481 O
0.7519 0.2481 0.2481 O
0.2481 0.7519 0.2481 O
0.2481 0.7519 0.7519 O
0.2500 0.2500 0.2500 O
0.7519 0.2481 0.7519 O

GGA+U V2P2H2O11, relaxed; crystal system = orthorhombic; DFT total energy = -234.3 eV per cell; ρ = 2.77 Mg/m³; energy of formation = -2.23 eV/atom
1.0
-6.9221 -2.1222 -1.6025
1.5174 -8.2407 4.3588
-1.8792 2.3215 5.0433
O V P H
22 4 4 4
direct
0.5000 0.2703 0.5186 O
0.1709 0.3557 0.1665 O
0.3291 0.1443 0.8335 O
0.2022 0.5000 0.7652 O
0.8291 0.3557 0.1665 O
0.8291 0.6443 0.1665 O
0.0000 0.8643 0.0683 O
0.2978 0.0000 0.2348 O
0.0000 0.1357 0.0683 O
0.7022 0.0000 0.2348 O
0.6709 0.1443 0.8335 O
0.0000 0.7703 0.4814 O
0.1709 0.6443 0.1665 O
0.7978 0.5000 0.7652 O
0.5000 0.5000 0.2934 O
0.3291 0.8557 0.8335 O
0.5000 0.3643 0.9317 O
0.0000 0.2297 0.4814 O
0.6709 0.8557 0.8335 O
0.0000 0.0000 0.7066 O
0.5000 0.6357 0.9317 O
0.5000 0.7297 0.5186 O
0.7099 0.5000 0.0154 V
0.2901 0.5000 0.0154 V
0.2099 0.0000 0.9846 V
0.7901 0.0000 0.9846 V
0.5000 0.7690 0.7635 P
0.0000 0.2690 0.2365 P
0.0000 0.7310 0.2365 P
0.5000 0.2310 0.7635 P
0.5000 0.4098 0.3931 H
0.0000 0.0902 0.6069 H
0.0000 0.9098 0.6069 H
0.5000 0.5902 0.3931 H

GGA+U LiMoPO5, relaxed; crystal system = orthorhombic; DFT total energy = -223.1 eV per cell; ρ = 3.79 Mg/m³; energy of formation = -2.44 eV/atom
1.0
-2.9168 1.0028 -5.8964
-0.5511 -7.3951 -0.9851
-6.7531 0.0570 3.3503
O P Mo Li
20 4 4 4
direct
0.9355 0.6318 0.7418 O
0.2500 0.7031 0.4874 O
0.2500 0.2031 0.0126 O
0.4355 0.8682 0.2418 O
0.7500 0.4531 0.9749 O
0.7500 0.7969 0.9874 O
0.0645 0.8682 0.2418 O
0.2500 0.8983 0.8255 O
0.9355 0.1318 0.7582 O
0.2500 0.0469 0.4749 O
0.7500 0.9531 0.5251 O
0.7500 0.1017 0.1745 O
0.2500 0.3983 0.6745 O
0.2500 0.5469 0.0251 O
0.7500 0.6017 0.3255 O
0.5645 0.1318 0.7582 O
0.4355 0.3682 0.2582 O
0.5645 0.6318 0.7418 O
0.7500 0.2969 0.5126 O
0.0645 0.3682 0.2582 O
0.2500 0.8727 0.3664 P
0.7500 0.1273 0.6336 P
0.7500 0.6273 0.8664 P
0.2500 0.3727 0.1336 P
0.2500 0.1432 0.7292 Mo
0.7500 0.8568 0.2708 Mo
0.2500 0.6432 0.7708 Mo
0.7500 0.3568 0.2292 Mo
0.5000 0.5000 0.5000 Li
0.0000 0.0000 0.0000 Li
0.5000 0.0000 0.0000 Li
0.0000 0.5000 0.5000 Li

GGA+U Li13Mn17O40, relaxed; crystal system = monoclinic; DFT total energy = -465.8 eV per cell; ρ = 3.92 Mg/m³; energy of formation = -2.05 eV/atom
1.0
0.1993 -2.4624 5.3016
2.0770 3.0248 4.5548
-21.1822 8.3044 7.7589
Mn O Li
17 40 13
direct
0.5000 0.5000 0.5000 Mn
0.3024 0.7959 0.0995 Mn
0.6983 0.6983 0.9006 Mn
0.7024 0.7024 0.3973 Mn
0.6976 0.2041 0.9005 Mn
0.3999 0.9000 0.2996 Mn
0.1000 0.6001 0.7004 Mn
0.9018 0.9018 0.7983 Mn
0.2976 0.2976 0.6027 Mn
0.3017 0.3017 0.0994 Mn
0.9000 0.3999 0.2996 Mn
0.7959 0.3024 0.0995 Mn
0.0000 0.5000 0.5000 Mn
0.5000 0.0000 0.5000 Mn
0.6001 0.1000 0.7004 Mn
0.0982 0.0982 0.2017 Mn
0.2041 0.6976 0.9005 Mn
0.1735 0.6343 0.0582 O
0.8265 0.3657 0.9418 O
0.5871 0.0284 0.8533 O
0.5669 0.5669 0.3472 O
0.9363 0.9363 0.6589 O
0.7907 0.2485 0.2487 O
0.2633 0.2633 0.7417 O
0.2485 0.7907 0.2487 O
0.3666 0.3666 0.9418 O
0.8287 0.3840 0.4539 O
0.6334 0.6334 0.0582 O
0.8533 0.8533 0.9423 O
0.8310 0.8310 0.4518 O
0.0637 0.0637 0.3411 O
0.3840 0.8287 0.4539 O
0.3540 0.3540 0.4565 O
0.1467 0.1467 0.0577 O
0.4129 0.9716 0.1467 O
0.1713 0.6160 0.5461 O
0.5476 0.5476 0.8576 O
0.7663 0.7663 0.7475 O
0.4331 0.4331 0.6528 O
0.1690 0.1690 0.5482 O
0.6343 0.1735 0.0582 O
0.6160 0.1713 0.5461 O
0.6460 0.6460 0.5435 O
0.0088 0.5519 0.3512 O
0.9700 0.9700 0.1479 O
0.4481 0.9912 0.6488 O
0.3657 0.8265 0.9418 O
0.7515 0.2093 0.7513 O
0.2337 0.2337 0.2525 O
0.4524 0.4524 0.1424 O
0.9716 0.4129 0.1467 O
0.2093 0.7515 0.7513 O
0.7367 0.7367 0.2583 O
0.9912 0.4481 0.6488 O
0.5519 0.0088 0.3512 O
0.0300 0.0300 0.8521 O
0.0284 0.5871 0.8533 O
0.5000 0.5000 0.0000 Li
0.9004 0.9004 0.2996 Li
0.5690 0.5690 0.7732 Li
0.2288 0.2288 0.8228 Li
0.0282 0.0282 0.4213 Li
0.4310 0.4310 0.2268 Li
0.7712 0.7712 0.1772 Li
0.6304 0.6304 0.6261 Li
0.8238 0.8238 0.0286 Li
0.0996 0.0996 0.7004 Li
0.1762 0.1762 0.9714 Li
0.3696 0.3696 0.3739 Li
0.9718 0.9718 0.5787 Li